[1]
DFT (r²SCAN) results for crystalline Eu2ZrVO6 at its relaxed geometry.

```
Eu2ZrVO6
1.0
0.000 3.991 3.991
3.991 0.000 3.991
3.991 3.991 0.000
Eu Zr V O
2 1 1 6
direct
0.250 0.250 0.250
0.750 0.750 0.750
0.000 0.000 0.000
0.500 0.500 0.500
0.258 0.258 0.742
0.258 0.742 0.258
0.258 0.742 0.742
0.742 0.258 0.258
0.742 0.258 0.742
0.742 0.742 0.258
```

Results
Its total moment is 1.5000 μB/atom. As for the energy of formation: -75.76 kcal/mol of atoms. The calculation puts the final energy at -18.26 eV/atom.

[2]
DFT (r²SCAN) results for crystalline Sc4BCl6 at its relaxed geometry.

```
Sc4BCl6
1.0
11.860 0.000 0.000
0.000 12.280 0.000
0.000 0.000 3.603
Sc B Cl
8 2 12
direct
0.105 0.084 0.000
0.125 0.853 0.500
0.375 0.353 0.500
0.395 0.584 0.000
0.605 0.416 0.000
0.625 0.647 0.500
0.875 0.147 0.500
0.895 0.916 0.000
0.000 0.000 0.500
0.500 0.500 0.500
0.020 0.742 0.000
0.232 0.182 0.500
0.242 0.431 0.000
0.258 0.931 0.000
0.268 0.682 0.500
0.480 0.242 0.000
0.520 0.758 0.000
0.732 0.318 0.500
0.742 0.069 0.000
0.758 0.569 0.000
0.768 0.818 0.500
0.980 0.258 0.000
```

Results
Its total moment is 0.0000 μB/atom. As for the energy of formation: -45.15 kcal/mol of atoms. The calculation puts the final energy at -10.13 eV/atom.

[3]
DFT (r²SCAN) results for crystalline Rb2Mn3Se4 at its relaxed geometry.

```
Rb2Mn3Se4
1.0
-3.102 5.928 7.120
3.102 -5.928 7.120
3.102 5.928 -7.120
Rb Mn Se
4 6 8
direct
0.121 0.236 0.358
0.379 0.736 0.115
0.621 0.264 0.885
0.879 0.764 0.642
0.023 0.250 0.773
0.250 0.750 0.500
0.477 0.250 0.227
0.523 0.750 0.773
0.750 0.250 0.500
0.977 0.750 0.227
0.013 0.423 0.145
0.222 0.077 0.589
0.278 0.867 0.855
0.487 0.633 0.411
0.513 0.367 0.589
0.722 0.133 0.145
0.778 0.923 0.411
0.987 0.577 0.855
```

Results
Its total moment is 1.6667 μB/atom. As for the energy of formation: -27.10 kcal/mol of atoms. The calculation puts the final energy at -15.53 eV/atom.

[4]
DFT (r²SCAN) results for crystalline DySbPt at its relaxed geometry.

```
DySbPt
1.0
0.000 3.285 3.285
3.285 0.000 3.285
3.285 3.285 0.000
Dy Sb Pt
1 1 1
direct
0.000 0.000 0.000
0.500 0.500 0.500
0.250 0.250 0.250
```

Results
Its total moment is 0.0000 μB/atom. As for the energy of formation: -31.88 kcal/mol of atoms. The calculation puts the final energy at -37.77 eV/atom.

Q: energy of formation of number 3 (Rb2Mn3Se4)?
A: -27.10 kcal/mol of atoms

Q: Number 4 is which compound?
A: DySbPt

Q: Among the records above, which one has the lowest energy of formation?
A: Eu2ZrVO6

Q: energy of formation of number 4 (DySbPt)?
A: -31.88 kcal/mol of atoms